(1)
Entry from the Materials Project: a relaxed Tb3SmFe34 crystal (PBE).

Cell and atoms, written as POSCAR:
```
Tb3SmFe34
1.0
-1.6292 3.8010 4.9167
5.2238 -1.0731 3.5828
6.6256 10.3463 -3.7667
Fe Tb Sm
34 3 1
direct
0.7079 0.0007 0.1457
0.1550 0.6560 0.8280
0.0000 0.2927 0.8536
0.3433 0.8455 0.1715
0.2929 0.7072 0.9998
0.9026 0.9026 0.9512
0.0004 0.0004 0.2498
0.0000 0.5000 0.9998
0.3439 0.8451 0.6722
0.5000 0.0000 0.9998
0.2927 0.0000 0.8536
0.2917 0.7078 0.5005
0.0007 0.7079 0.1457
0.0000 0.7073 0.6466
0.0976 0.0976 0.0485
0.3440 0.3440 0.9225
0.9030 0.9030 0.4516
0.8451 0.3439 0.6722
0.0004 0.2916 0.3540
0.7072 0.2929 0.9998
0.0000 0.0000 0.7501
0.6559 0.6559 0.0769
0.0975 0.0975 0.5490
0.2916 0.0004 0.3540
0.3433 0.3433 0.4228
0.6562 0.6562 0.5781
0.0003 0.4997 0.5004
0.7078 0.2917 0.5005
0.1551 0.6561 0.3281
0.8455 0.3433 0.1715
0.7073 0.0000 0.6466
0.6560 0.1550 0.8280
0.4997 0.0003 0.5004
0.6561 0.1551 0.3281
0.3414 0.3414 0.6707
0.3409 0.3409 0.1705
0.6587 0.6587 0.8293
0.6582 0.6582 0.3291
```

V ... 520 Å³/f.u.
Magnetization ... 2.08 μB/atom
E_form ... 0.00 eV/atom


(2)
Entry from the Materials Project: a relaxed Sm4TiFe33 crystal (PBE).

Cell and atoms, written as POSCAR:
```
Sm4TiFe33
1.0
4.2766 2.4521 4.1485
-4.2766 2.4521 4.1485
0.0000 -9.8144 8.3003
Fe Sm Ti
33 4 1
direct
0.9998 0.2973 0.3515
0.7096 0.2903 0.9999
0.2973 0.9998 0.3515
0.9043 0.9043 0.9518
0.9992 0.2925 0.8533
0.2971 0.7033 0.5004
0.0980 0.0980 0.5501
0.3413 0.8439 0.1704
0.0005 0.4976 0.5003
0.6580 0.6580 0.5794
0.9993 0.9993 0.7503
0.0019 0.7036 0.6483
0.2903 0.7096 0.9999
0.3406 0.3406 0.4221
0.8439 0.3413 0.1704
0.2925 0.9992 0.8533
0.6572 0.1581 0.3286
0.1560 0.6582 0.8294
0.4976 0.0005 0.5003
0.3428 0.3428 0.9223
0.0003 0.5001 0.0001
0.5001 0.0003 0.0001
0.7072 0.0002 0.1468
0.6577 0.6577 0.0773
0.1581 0.6572 0.3286
0.3414 0.8440 0.6712
0.0011 0.0011 0.2484
0.0002 0.7072 0.1468
0.8440 0.3414 0.6712
0.7036 0.0019 0.6483
0.7033 0.2971 0.5004
0.6582 0.1560 0.8294
0.0958 0.0958 0.0472
0.3416 0.3416 0.1701
0.6535 0.6535 0.3258
0.3407 0.3407 0.6716
0.6585 0.6585 0.8298
0.9077 0.9077 0.4533
```

V ... 522 Å³/f.u.
Magnetization ... 1.93 μB/atom
E_form ... 0.00 eV/atom


(3)
Entry from the Materials Project: a relaxed SmTiVFe10 crystal (PBE).

Cell and atoms, written as POSCAR:
```
SmTiVFe10
1.0
-1.2908 -4.1203 1.8612
5.1525 -3.3064 2.1928
-0.0102 4.7109 4.4829
Fe V Ti Sm
10 1 1 1
direct
0.0013 0.6397 0.6423
0.7307 0.7693 0.2307
0.2737 0.2263 0.7737
0.0009 0.9980 0.4988
0.4999 0.5012 0.0020
0.4995 0.7735 0.7725
0.0009 0.5012 0.0020
0.0013 0.3577 0.3603
0.4995 0.2275 0.2265
0.4999 0.9980 0.4988
0.3506 0.6494 0.3506
0.6414 0.3587 0.6414
0.0005 0.9995 0.0005
```

V ... 173 Å³/f.u.
Magnetization ... 1.28 μB/atom
E_form ... -0.07 eV/atom


(4)
Entry from the Materials Project: a relaxed Sm6TlFe13 crystal (PBE).

Cell and atoms, written as POSCAR:
```
Sm6TlFe13
1.0
8.0058 0.0000 0.0000
0.0000 8.0058 0.0000
-4.0029 -4.0029 11.5934
Fe Sm Tl
26 12 2
direct
0.0186 0.2917 0.8104
0.0663 0.2101 0.0000
0.2083 0.4814 0.1896
0.3801 0.2382 0.1184
0.5663 0.2899 0.0000
0.9814 0.7083 0.1896
0.2917 0.7917 0.8104
0.2382 0.7382 0.1184
0.9337 0.7899 0.0000
0.2618 0.1199 0.8816
0.4814 0.9814 0.1896
0.1199 0.6199 0.8816
0.8801 0.3801 0.1184
0.5186 0.0186 0.8104
0.4337 0.7101 0.0000
0.6199 0.7618 0.8816
0.5000 0.0000 0.0000
0.2101 0.9337 0.0000
0.7101 0.5663 0.0000
0.7618 0.2618 0.8816
0.7899 0.0663 0.0000
0.7382 0.8801 0.1184
0.2899 0.4337 0.0000
0.7083 0.2083 0.1896
0.7917 0.5186 0.8104
0.0000 0.5000 0.0000
0.6525 0.1525 0.6313
0.3958 0.3958 0.7916
0.1042 0.1042 0.2084
0.5212 0.3475 0.3687
0.3475 0.8475 0.3687
0.6042 0.6042 0.2084
0.0212 0.5212 0.3687
0.8475 0.0212 0.3687
0.8958 0.8958 0.7916
0.9788 0.4788 0.6313
0.1525 0.9788 0.6313
0.4788 0.6525 0.6313
0.7500 0.7500 0.5000
0.2500 0.2500 0.5000
```

V ... 372 Å³/f.u.
Magnetization ... 1.30 μB/atom
E_form ... -0.06 eV/atom


Look up the E_form of the third one.
-0.07 eV/atom